No. 1
Sr8MnFe7O24: relaxed, PBE with a Hubbard U.

Calculated values
MP2020-corrected energy ... -290.93 eV/cell
Calculated formation energy ... -2255 meV per atom
Total magnetization ... 33.110 μB/f.u.
Volume ... 11.97 Å³/atom
Space group ... Pm-3m (221)
ρ ... 5.309 g/cm3

a b c (Å): 7.823 7.823 7.823
angles (deg): 90.00 90.00 90.00
Fractional positions:
Sr: 0.250 0.250 0.250
Sr: 0.250 0.250 0.750
Sr: 0.250 0.750 0.250
Sr: 0.250 0.750 0.750
Sr: 0.750 0.250 0.250
Sr: 0.750 0.250 0.750
Sr: 0.750 0.750 0.250
Sr: 0.750 0.750 0.750
Mn: 0.000 0.000 0.000
Fe: 0.000 0.000 0.500
Fe: 0.000 0.500 0.000
Fe: 0.000 0.500 0.500
Fe: 0.500 0.000 0.000
Fe: 0.500 0.000 0.500
Fe: 0.500 0.500 0.000
Fe: 0.500 0.500 0.500
O: 0.000 0.000 0.247
O: 0.000 0.000 0.753
O: 0.000 0.247 0.000
O: 0.000 0.251 0.500
O: 0.000 0.500 0.251
O: 0.000 0.500 0.749
O: 0.000 0.749 0.500
O: 0.000 0.753 0.000
O: 0.247 0.000 0.000
O: 0.249 0.500 0.500
O: 0.251 0.000 0.500
O: 0.251 0.500 0.000
O: 0.500 0.000 0.251
O: 0.500 0.000 0.749
O: 0.500 0.249 0.500
O: 0.500 0.251 0.000
O: 0.500 0.500 0.249
O: 0.500 0.500 0.751
O: 0.500 0.749 0.000
O: 0.500 0.751 0.500
O: 0.749 0.000 0.500
O: 0.749 0.500 0.000
O: 0.751 0.500 0.500
O: 0.753 0.000 0.000


No. 2
Sr8MnFe7O20: relaxed, PBE with a Hubbard U.

Calculated values
MP2020-corrected energy ... -1067.02 eV/cell
Calculated formation energy ... -2384 meV per atom
Total magnetization ... 38.920 μB/f.u.
Volume ... 14.14 Å³/atom
Space group ... Cm (8)
ρ ... 4.784 g/cm3

a b c (Å): 17.756 17.756 11.208
angles (deg): 108.39 108.39 126.32
Fractional positions:
Sr: 0.069 0.427 0.998
Sr: 0.069 0.428 0.498
Sr: 0.070 0.930 0.000
Sr: 0.071 0.931 0.500
Sr: 0.192 0.334 0.012
Sr: 0.194 0.336 0.514
Sr: 0.196 0.837 0.016
Sr: 0.196 0.837 0.517
Sr: 0.334 0.192 0.012
Sr: 0.336 0.194 0.514
Sr: 0.337 0.696 0.016
Sr: 0.337 0.696 0.516
Sr: 0.427 0.069 0.998
Sr: 0.428 0.069 0.498
Sr: 0.428 0.570 0.499
Sr: 0.428 0.571 0.999
Sr: 0.569 0.928 0.499
Sr: 0.569 0.928 0.999
Sr: 0.570 0.428 0.499
Sr: 0.571 0.428 0.999
Sr: 0.694 0.835 0.515
Sr: 0.696 0.337 0.016
Sr: 0.696 0.337 0.516
Sr: 0.696 0.837 0.016
Sr: 0.835 0.694 0.515
Sr: 0.837 0.196 0.016
Sr: 0.837 0.196 0.517
Sr: 0.837 0.696 0.016
Sr: 0.928 0.569 0.499
Sr: 0.928 0.569 0.999
Sr: 0.930 0.070 0.000
Sr: 0.931 0.071 0.500
Mn: 0.037 0.037 0.801
Mn: 0.228 0.228 0.244
Mn: 0.231 0.231 0.748
Mn: 0.535 0.535 0.301
Fe: 0.042 0.542 0.311
Fe: 0.042 0.542 0.811
Fe: 0.043 0.043 0.311
Fe: 0.131 0.883 0.755
Fe: 0.132 0.382 0.255
Fe: 0.132 0.882 0.255
Fe: 0.133 0.382 0.755
Fe: 0.223 0.723 0.242
Fe: 0.223 0.723 0.742
Fe: 0.382 0.132 0.255
Fe: 0.382 0.133 0.755
Fe: 0.382 0.632 0.256
Fe: 0.382 0.632 0.755
Fe: 0.542 0.042 0.311
Fe: 0.542 0.042 0.811
Fe: 0.542 0.542 0.810
Fe: 0.632 0.382 0.256
Fe: 0.632 0.382 0.755
Fe: 0.633 0.883 0.256
Fe: 0.633 0.883 0.755
Fe: 0.720 0.720 0.738
Fe: 0.723 0.223 0.242
Fe: 0.723 0.223 0.742
Fe: 0.723 0.723 0.240
Fe: 0.882 0.132 0.255
Fe: 0.883 0.131 0.755
Fe: 0.883 0.633 0.256
Fe: 0.883 0.633 0.755
O: 0.010 0.252 0.504
O: 0.010 0.253 0.005
O: 0.010 0.751 0.004
O: 0.010 0.752 0.504
O: 0.012 0.254 0.257
O: 0.012 0.255 0.757
O: 0.012 0.753 0.756
O: 0.013 0.754 0.256
O: 0.036 0.427 0.222
O: 0.037 0.427 0.722
O: 0.037 0.927 0.222
O: 0.046 0.930 0.732
O: 0.072 0.572 0.013
O: 0.072 0.572 0.513
O: 0.074 0.074 0.011
O: 0.074 0.074 0.509
O: 0.192 0.692 0.383
O: 0.192 0.692 0.883
O: 0.196 0.196 0.389
O: 0.196 0.196 0.883
O: 0.218 0.333 0.270
O: 0.219 0.334 0.771
O: 0.228 0.838 0.274
O: 0.229 0.838 0.774
O: 0.252 0.010 0.504
O: 0.252 0.511 0.505
O: 0.253 0.010 0.005
O: 0.253 0.511 0.006
O: 0.254 0.012 0.257
O: 0.254 0.513 0.257
O: 0.254 0.513 0.757
O: 0.255 0.012 0.757
O: 0.333 0.218 0.270
O: 0.334 0.219 0.771
O: 0.338 0.728 0.274
O: 0.338 0.728 0.774
O: 0.426 0.536 0.722
O: 0.427 0.036 0.222
O: 0.427 0.037 0.722
O: 0.432 0.546 0.234
O: 0.511 0.252 0.505
O: 0.511 0.253 0.006
O: 0.511 0.752 0.004
O: 0.511 0.753 0.505
O: 0.513 0.254 0.257
O: 0.513 0.254 0.757
O: 0.513 0.754 0.757
O: 0.513 0.755 0.257
O: 0.536 0.426 0.722
O: 0.536 0.927 0.222
O: 0.536 0.927 0.722
O: 0.546 0.432 0.234
O: 0.567 0.567 0.511
O: 0.571 0.571 0.011
O: 0.572 0.072 0.013
O: 0.572 0.072 0.513
O: 0.688 0.688 0.374
O: 0.692 0.192 0.383
O: 0.692 0.192 0.883
O: 0.693 0.693 0.883
O: 0.728 0.338 0.274
O: 0.728 0.338 0.774
O: 0.728 0.837 0.773
O: 0.729 0.838 0.274
O: 0.751 0.010 0.004
O: 0.752 0.010 0.504
O: 0.752 0.511 0.004
O: 0.753 0.012 0.756
O: 0.753 0.511 0.505
O: 0.754 0.013 0.256
O: 0.754 0.513 0.757
O: 0.755 0.513 0.257
O: 0.837 0.728 0.773
O: 0.838 0.228 0.274
O: 0.838 0.229 0.774
O: 0.838 0.729 0.274
O: 0.927 0.037 0.222
O: 0.927 0.536 0.222
O: 0.927 0.536 0.722
O: 0.930 0.046 0.732